A plane-wave DFT calculation with GGA+U was carried out for an optimized crystal structure of MnH2Se2O8.

Lattice parameters (Å, degrees): 7.0117 10.7195 10.0258 90.00 110.41 90.00
Closest atoms and distances in Å follow each position.
Space group P2_1/c (No. 14)
Inequivalent atoms, fractional coordinates:
1 Mn 0.1303 0.0290 0.3014 [4 per cell]  6 O 2.16-2.23
2 H 0.3080 0.0440 0.9018 [4 per cell]  1 O 1.01
3 H 0.3216 0.7194 0.7130 [4 per cell]  1 O 1.00
4 Se 0.1277 0.1819 0.9850 [4 per cell]  4 O 1.65-1.76
5 Se 0.3440 0.5795 0.1483 [4 per cell]  4 O 1.64-1.76
6 O 0.0725 0.6341 0.6545 [4 per cell]  1 Se 1.68, 1 H 1.87
7 O 0.0890 0.1681 0.1372 [4 per cell]  1 Se 1.65
8 O 0.1997 0.6024 0.9800 [4 per cell]  1 Se 1.65
9 O 0.2008 0.1756 0.4619 [4 per cell]  1 Se 1.65
10 O 0.2043 0.5264 0.2422 [4 per cell]  1 Se 1.68, 1 H 1.69
11 O 0.3299 0.0799 0.9994 [4 per cell]  1 H 1.01
12 O 0.4396 0.7264 0.2186 [4 per cell]  1 H 1.00
13 O 0.4497 0.5049 0.8233 [4 per cell]  1 Se 1.64

Summary:
ΔH_f (0 K) in kcal/mol of atoms: -30.2
Energy with MP2020 corrections in eV for the cell shown: -318.11

---

A plane-wave DFT calculation with GGA+U was carried out for an optimized crystal structure of Mn2SiH4O6.

Lattice parameters (Å, degrees): 12.8874 7.3031 5.4122 90.00 90.00 90.00
Closest atoms and distances in Å follow each position.
Space group Pca2_1 (No. 29)
Inequivalent atoms, fractional coordinates:
1 Mn 0.0411 0.1695 0.0000 [4 per cell]  5 O 2.14-2.31
2 Mn 0.1879 0.1762 0.5211 [4 per cell]  6 O 2.15-2.30
3 Si 0.1859 0.7849 0.2066 [4 per cell]  4 O 1.63-1.69
4 H 0.0003 0.3344 0.4937 [4 per cell]  1 O 1.01
5 H 0.0652 0.4798 0.3202 [4 per cell]  1 O 1.03
6 H 0.1185 0.8897 0.7706 [4 per cell]  1 O 0.98
7 H 0.1832 0.4515 0.8732 [4 per cell]  1 O 0.98
8 O 0.0533 0.3431 0.3559 [4 per cell]  2 H 1.01-1.03
9 O 0.0736 0.6881 0.2490 [4 per cell]  2 H 1.57-1.69, 1 Si 1.63
10 O 0.0746 0.9835 0.6954 [4 per cell]  1 H 0.98
11 O 0.1774 0.3180 0.8685 [4 per cell]  1 H 0.98
12 O 0.1822 0.0079 0.1948 [4 per cell]  1 Si 1.63
13 O 0.2319 0.7148 0.9296 [4 per cell]  2 Si 1.69

Summary:
ΔH_f (0 K) in kcal/mol of atoms: -45.6
Energy with MP2020 corrections in eV for the cell shown: -370.87

---

A plane-wave DFT calculation with GGA+U was carried out for an optimized crystal structure of Mn6VSi5HO19.

Lattice parameters (Å, degrees): 6.8081 29.3371 9.7346 90.00 128.36 90.00
Closest atoms and distances in Å follow each position.
Space group P2_1/c (No. 14)
Inequivalent atoms, fractional coordinates:
1 Mn 0.1551 0.1831 0.4742 [4 per cell]  5 O 2.09-2.30
2 Mn 0.2040 0.0769 0.5605 [4 per cell]  4 O 2.11-2.21
3 Mn 0.2481 0.0869 0.0810 [4 per cell]  4 O 2.11-2.22
4 Mn 0.2665 0.6368 0.7227 [4 per cell]  6 O 2.12-2.30
5 Mn 0.2855 0.5223 0.6549 [4 per cell]  6 O 2.14-2.38
6 Mn 0.3393 0.7470 0.3102 [4 per cell]  6 O 2.18-2.30
7 V 0.1091 0.2134 0.1189 [4 per cell]  4 O 1.71-1.83
8 Si 0.1345 0.0123 0.7705 [4 per cell]  4 O 1.62-1.67
9 Si 0.1516 0.5939 0.3343 [4 per cell]  4 O 1.62-1.67
10 Si 0.3501 0.1455 0.8872 [4 per cell]  4 O 1.61-1.69
11 Si 0.3724 0.5627 0.0148 [4 per cell]  4 O 1.62-1.67
12 Si 0.3953 0.6667 0.0891 [4 per cell]  4 O 1.61-1.69
13 H 0.3845 0.2180 0.8446 [4 per cell]  1 O 1.00
14 O 0.0043 0.2240 0.2380 [4 per cell]  1 V 1.73
15 O 0.0631 0.1204 0.3451 [4 per cell]  1 Si 1.62
16 O 0.0962 0.1280 0.8497 [4 per cell]  1 Si 1.61
17 O 0.1121 0.0228 0.9252 [4 per cell]  1 Si 1.63
18 O 0.1188 0.5903 0.4866 [4 per cell]  1 Si 1.63
19 O 0.1213 0.5300 0.9237 [4 per cell]  2 Si 1.66-1.67
20 O 0.1407 0.7027 0.5949 [4 per cell]  1 V 1.71
21 O 0.1486 0.5435 0.2550 [4 per cell]  2 Si 1.65-1.66
22 O 0.2122 0.6981 0.1017 [4 per cell]  1 Si 1.61
23 O 0.2949 0.6133 0.0466 [4 per cell]  2 Si 1.66-1.67
24 O 0.3031 0.2416 0.6495 [4 per cell]  1 V 1.76, 1 H 1.76
25 O 0.3196 0.1641 0.2119 [4 per cell]  1 Si 1.69, 1 V 1.83
26 O 0.3582 0.1391 0.7231 [4 per cell]  1 Si 1.64
27 O 0.3606 0.0367 0.7862 [4 per cell]  1 Si 1.62
28 O 0.3980 0.0426 0.2961 [4 per cell]  1 Si 1.62
29 O 0.4243 0.2006 0.9473 [4 per cell]  1 H 1.00
30 O 0.4273 0.5700 0.8741 [4 per cell]  1 Si 1.64
31 O 0.4344 0.6162 0.4305 [4 per cell]  2 Si 1.67-1.68
32 O 0.4416 0.6851 0.9514 [4 per cell]  1 Si 1.65

Summary:
ΔH_f (0 K) in kcal/mol of atoms: -60.9
Energy with MP2020 corrections in eV for the cell shown: -1092.24

---

A plane-wave DFT calculation with GGA+U was carried out for an optimized crystal structure of MnZn2SiH2O6.

Lattice parameters (Å, degrees): 11.6671 5.3177 8.8915 90.00 99.28 90.00
Closest atoms and distances in Å follow each position.
Space group P2_1/c (No. 14)
Inequivalent atoms, fractional coordinates:
1 Mn 0.1107 0.1405 0.4897 [4 per cell]  4 O 2.03-2.23
2 Zn 0.1696 0.6446 0.3051 [4 per cell]  3 O 1.89-2.08
3 Zn 0.3939 0.6106 0.0888 [4 per cell]  4 O 2.00-2.21
4 Si 0.3450 0.1616 0.3072 [4 per cell]  4 O 1.64-1.69
5 H 0.1153 0.6285 0.5547 [4 per cell]  1 O 1.02
6 H 0.4244 0.0909 0.0915 [4 per cell]  1 O 1.02
7 O 0.0589 0.6382 0.1253 [4 per cell]  1 H 1.58
8 O 0.1641 0.5043 0.5039 [4 per cell]  1 H 1.02
9 O 0.2520 0.5203 0.8772 [4 per cell]  1 Si 1.65
10 O 0.3003 0.0736 0.7228 [4 per cell]  1 Si 1.64
11 O 0.4074 0.5113 0.6825 [4 per cell]  1 H 1.02
12 O 0.4458 0.2129 0.4589 [4 per cell]  1 H 1.62, 1 Si 1.66

Summary:
ΔH_f (0 K) in kcal/mol of atoms: -45.2
Energy with MP2020 corrections in eV for the cell shown: -308.32
Energy above the most stable polymorph in this dataset in meV/atom: 124

---

A plane-wave DFT calculation with GGA+U was carried out for an optimized crystal structure of MnZn2SiH2O6.

Lattice parameters (Å, degrees): 11.8828 5.3707 8.3210 90.00 95.54 90.00
Closest atoms and distances in Å follow each position.
Space group P2_1/c (No. 14)
Inequivalent atoms, fractional coordinates:
1 Mn 0.0438 0.2453 0.1066 [4 per cell]  6 O 2.19-2.32
2 Zn 0.2509 0.5643 0.8886 [4 per cell]  4 O 1.96-2.05
3 Zn 0.4206 0.5663 0.2268 [4 per cell]  4 O 1.97-2.01
4 Si 0.3288 0.0685 0.0678 [4 per cell]  4 O 1.65-1.66
5 H 0.1334 0.0412 0.8597 [4 per cell]  1 O 0.98
6 H 0.1409 0.7213 0.0893 [4 per cell]  1 O 0.98
7 O 0.0546 0.0961 0.8506 [4 per cell]  1 H 0.98
8 O 0.1178 0.5896 0.0112 [4 per cell]  1 H 0.98
9 O 0.2138 0.0379 0.1633 [4 per cell]  1 Si 1.65
10 O 0.3073 0.5745 0.3913 [4 per cell]  1 Si 1.66
11 O 0.3615 0.1371 0.5382 [4 per cell]  1 Si 1.65
12 O 0.4333 0.5699 0.6810 [4 per cell]  1 Si 1.66

Summary:
ΔH_f (0 K) in kcal/mol of atoms: -48.0
Energy with MP2020 corrections in eV for the cell shown: -314.26
Energy above the most stable polymorph in this dataset in meV/atom: 0

---

A plane-wave DFT calculation with GGA+U was carried out for an optimized crystal structure of Mn2VHO5.

Lattice parameters (Å, degrees): 15.0933 6.2334 9.2991 90.00 90.00 90.00
Closest atoms and distances in Å follow each position.
Space group Pnma (No. 62)
Inequivalent atoms, fractional coordinates:
1 Mn 0.0714 0.2500 0.0820 [4 per cell]  3 O 2.02-2.12
2 Mn 0.1377 0.5027 0.3763 [8 per cell]  5 O 2.08-2.30
3 Mn 0.2115 0.7500 0.6591 [4 per cell]  4 O 2.15-2.19
4 V 0.0746 0.2500 0.6869 [4 per cell]  4 O 1.72-1.76
5 V 0.1658 0.7500 0.0275 [4 per cell]  4 O 1.69-1.82
6 H 0.0068 0.7500 0.6585 [4 per cell]  1 O 0.98
7 H 0.2145 0.2500 0.8914 [4 per cell]  1 O 0.99
8 O 0.0396 0.7500 0.3460 [4 per cell]  1 V 1.75
9 O 0.0550 0.2500 0.3085 [4 per cell]  1 H 0.98
10 O 0.0654 0.7500 0.9460 [4 per cell]  1 V 1.69
11 O 0.0970 0.2500 0.8683 [4 per cell]  1 V 1.72, 1 H 1.79
12 O 0.1214 0.0165 0.6112 [8 per cell]  1 V 1.76
13 O 0.1708 0.5118 0.1344 [8 per cell]  1 V 1.79
14 O 0.2241 0.7500 0.4286 [4 per cell]  1 H 0.99
15 O 0.2483 0.7500 0.8855 [4 per cell]  1 V 1.82

Summary:
ΔH_f (0 K) in kcal/mol of atoms: -48.4
Energy with MP2020 corrections in eV for the cell shown: -595.36